This record from Materials Project describes a geometry-optimized InBi structure. The functional is r2SCAN.

abc: 6.7671 6.7671 6.7671
angles: 90.00 90.00 90.00
Space group F-43m (No. 216)
One atom of each set of equivalent atoms:
In: 0.0000 0.0000 0.0000
Bi: 0.2500 0.2500 0.2500

## Properties
Uncorrected energy (eV/cell): -324.90

This record from Materials Project describes a geometry-optimized Y2B3C2 structure. The functional is r2SCAN.

abc: 3.3970 13.7123 3.6366
angles: 90.00 90.00 90.00
Space group Cmmm (No. 65)
One atom of each set of equivalent atoms:
Y: 0.0000 0.1360 0.0000
B: 0.0000 0.2829 0.5000
B: 0.0000 0.5000 0.5000
C: 0.0000 0.3954 0.5000

## Properties
Uncorrected energy (eV/cell): -173.64

This record from Materials Project describes a geometry-optimized La2Cd17 structure. The functional is r2SCAN.

abc: 10.0762 10.0762 9.9075
angles: 90.00 90.00 120.00
Space group P6_3/mmc (No. 194)
One atom of each set of equivalent atoms:
La: 0.0000 0.0000 0.2500
La: 0.3333 0.6667 0.2500
Cd: 0.0000 0.5000 0.0000
Cd: 0.0386 0.3660 0.7500
Cd: 0.1606 0.3212 0.0269
Cd: 0.3333 0.6667 0.5996

## Properties
Uncorrected energy (eV/cell): -811.03

This record from Materials Project describes a geometry-optimized Na2CaS2O8 structure. The functional is r2SCAN.

abc: 10.0123 8.2584 8.4410
angles: 90.00 111.24 90.00
Space group C2/c (No. 15)
One atom of each set of equivalent atoms:
Na: 0.1397 0.0526 0.4348
Ca: 0.0000 0.4398 0.7500
S: 0.1853 0.2848 0.1892
O: 0.1136 0.1280 0.1327
O: 0.1240 0.4141 0.0623
O: 0.1599 0.2274 0.7758
O: 0.1620 0.3342 0.3463

## Properties
Uncorrected energy (eV/cell): -425.63

This record from Materials Project describes a geometry-optimized ScInPd2 structure. The functional is r2SCAN.

abc: 6.5439 6.5439 6.5439
angles: 90.00 90.00 90.00
Space group Fm-3m (No. 225)
One atom of each set of equivalent atoms:
Sc: 0.0000 0.0000 0.0000
In: 0.0000 0.0000 0.5000
Pd: 0.2500 0.2500 0.2500

## Properties
Uncorrected energy (eV/cell): -333.58

This record from Materials Project describes a geometry-optimized Mg3In structure. The functional is r2SCAN.

abc: 4.4572 4.4572 4.4572
angles: 90.00 90.00 90.00
Space group Pm-3m (No. 221)
One atom of each set of equivalent atoms:
Mg: 0.0000 0.0000 0.5000
In: 0.5000 0.5000 0.5000

## Properties
Uncorrected energy (eV/cell): -35.45

This record from Materials Project describes a geometry-optimized Cs6Cr2O7 structure. The functional is r2SCAN.

abc: 7.2455 9.8190 12.1699
angles: 90.00 125.63 90.00
Space group P2_1/c (No. 14)
One atom of each set of equivalent atoms:
Cs: 0.0419 0.1451 0.4156
Cs: 0.2032 0.5265 0.4507
Cs: 0.4028 0.2144 0.2801
Cr: 0.3270 0.6336 0.8723
O: 0.0764 0.6611 0.8618
O: 0.2668 0.5834 0.7158
O: 0.4971 0.7183 0.4304
O: 0.5000 0.0000 0.5000

## Properties
Uncorrected energy (eV/cell): -502.06

This record from Materials Project describes a geometry-optimized Gd2Ru2O7 structure. The functional is r2SCAN.

abc: 7.2371 7.2371 10.2481
angles: 90.00 90.00 90.00
Space group I4_1/amd (No. 141, origin choice 2)
One atom of each set of equivalent atoms:
Gd: 0.0000 0.0000 0.0000
Ru: 0.0000 0.0000 0.5000
O: 0.0000 0.2500 0.1638
O: 0.0000 0.2500 0.8750
O: 0.2080 0.0420 0.3750

## Properties
Uncorrected energy (eV/cell): -824.20

This record from Materials Project describes a geometry-optimized MgTi2 structure. The functional is r2SCAN.

abc: 5.1335 5.1335 14.6518
angles: 90.00 90.00 120.00
Space group R32 (No. 155, hexagonal axes)
One atom of each set of equivalent atoms:
Mg: 0.0000 0.0000 0.1652
Ti: 0.0000 0.0000 0.5000
Ti: 0.0000 0.6594 0.0000

## Properties
Uncorrected energy (eV/cell): -175.91

This record from Materials Project describes a geometry-optimized ScIn structure. The functional is r2SCAN.

abc: 3.1949 3.1949 4.3797
angles: 90.00 90.00 90.00
Space group P4/mmm (No. 123)
One atom of each set of equivalent atoms:
Sc: 0.0000 0.0000 0.0000
In: 0.5000 0.5000 0.5000

## Properties
Uncorrected energy (eV/cell): -35.08

This record from Materials Project describes a geometry-optimized Zr6Ni20P13 structure. The functional is r2SCAN.

abc: 12.3951 12.3951 3.6231
angles: 90.00 90.00 120.00
Space group P-6 (No. 174)
One atom of each set of equivalent atoms:
Zr: 0.0506 0.1926 0.0000
Zr: 0.5246 0.3846 0.5000
Ni: 0.0000 0.0000 0.5000
Ni: 0.0103 0.4157 0.0000
Ni: 0.0888 0.7462 0.5000
Ni: 0.1350 0.5729 0.5000
Ni: 0.2518 0.5067 0.0000
Ni: 0.3125 0.2313 0.0000
Ni: 0.3538 0.1052 0.5000
Ni: 0.6667 0.3333 0.0000
P: 0.0488 0.6144 0.0000
P: 0.0993 0.3801 0.5000
P: 0.1939 0.1409 0.5000
P: 0.3333 0.6667 0.5000
P: 0.4733 0.1933 0.0000

## Properties
Uncorrected energy (eV/cell): -529.27

This record from Materials Project describes a geometry-optimized Ge3Bi4O12 structure. The functional is r2SCAN.

abc: 10.5064 10.5064 10.5064
angles: 90.00 90.00 90.00
Space group I-43d (No. 220)
One atom of each set of equivalent atoms:
Ge: 0.0000 0.2500 0.8750
Bi: 0.0849 0.4151 0.5849
O: 0.0391 0.3752 0.1790

## Properties
Uncorrected energy (eV/cell): -1512.41

This record from Materials Project describes a geometry-optimized TlMo2P3O13 structure. The functional is r2SCAN.

abc: 9.7737 18.7843 6.4014
angles: 90.00 106.29 90.00
Space group P2_1/c (No. 14)
One atom of each set of equivalent atoms:
Tl: 0.1568 0.1545 0.4687
Mo: 0.1180 0.6266 0.6857
Mo: 0.4381 0.1614 0.1248
P: 0.1939 0.0356 0.9892
P: 0.2070 0.5906 0.2318
P: 0.4642 0.6731 0.8329
O: 0.0747 0.7123 0.6880
O: 0.0920 0.0967 0.9048
O: 0.1232 0.6001 0.9944
O: 0.1227 0.6275 0.3684
O: 0.1488 0.5140 0.6413
O: 0.1972 0.5072 0.2738
O: 0.2896 0.2117 0.0667
O: 0.3272 0.6302 0.7744
O: 0.3424 0.0649 0.0872
O: 0.3617 0.6094 0.2864
O: 0.4295 0.7476 0.3188
O: 0.4441 0.1519 0.8161
O: 0.4445 0.1515 0.4400

## Properties
Uncorrected energy (eV/cell): -1007.96

This record from Materials Project describes a geometry-optimized Y2FeSi2 structure. The functional is r2SCAN.

abc: 10.4921 4.1590 10.1593
angles: 90.00 118.72 90.00
Space group C2/m (No. 12)
One atom of each set of equivalent atoms:
Y: 0.0045 0.0000 0.3276
Y: 0.1901 0.0000 0.1066
Fe: 0.2222 0.5000 0.3630
Si: 0.0053 0.5000 0.8794
Si: 0.1443 0.5000 0.5614

## Properties
Uncorrected energy (eV/cell): -304.01

This record from Materials Project describes a geometry-optimized Gd structure. The functional is r2SCAN.

abc: 4.0692 4.0692 4.0692
angles: 90.00 90.00 90.00
Space group Im-3m (No. 229)
One atom of each set of equivalent atoms:
Gd: 0.0000 0.0000 0.0000

## Properties
Uncorrected energy (eV/cell): -86.49
Polymorph energy (0 for the lowest one) (eV per atom): 0.150

One value per record, in order, for energy of formation: -72 -609 -223 -2184 -874 -90 -1895 -2418 242 -551 -926 -1621 -2211 -683 150 meV/atom.